Entry 1:
# Al6C3N2

An optimized crystal structure of Al6C3N2 (PBE-GGA, the Materials Project database).

a = 13.6392 Å, b = 13.6392 Å, c = 13.6392 Å
α = 13.79°, β = 13.79°, γ = 13.79°
With the nearest neighbours (Å) after each atom.
Positions (direct):
Al 0.9124 0.9124 0.9124  1 C 1.90, 3 N 2.03
Al 0.1891 0.1891 0.1891  3 C 1.93
Al 0.6916 0.6916 0.6916  1 N 1.80
Al 0.0876 0.0876 0.0876  1 C 1.90, 3 N 2.03
Al 0.3084 0.3084 0.3084  1 N 1.80
Al 0.8109 0.8109 0.8109  3 C 1.93
C 0.1346 0.1346 0.1346  4 Al 1.90-1.93
C 0.0000 0.0000 0.0000  6 Al 2.14
C 0.8654 0.8654 0.8654  4 Al 1.90-1.93
N 0.7361 0.7361 0.7361  1 Al 1.80
N 0.2639 0.2639 0.2639  1 Al 1.80

Output
- raw total energy (eV per atom) = -6.546


Entry 2:
# Tb3Tl5

An optimized crystal structure of Tb3Tl5 (PBE-GGA, the Materials Project database).

a = 6.5610 Å, b = 6.5610 Å, c = 10.5750 Å
α = 90.00°, β = 90.00°, γ = 104.33°
With the nearest neighbours (Å) after each atom.
Positions (direct):
Tl 0.7000 0.7000 0.5456  6 Tb 3.20-3.48, 4 Tl 3.21-3.36
Tl 0.0534 0.5117 0.2500  3 Tb 3.12-3.24, 4 Tl 3.21-3.30
Tl 0.4883 0.9466 0.7500  3 Tb 3.12-3.24, 4 Tl 3.21-3.30
Tl 0.7000 0.7000 0.9544  6 Tb 3.20-3.48, 4 Tl 3.21-3.36
Tl 0.5117 0.0534 0.2500  3 Tb 3.12-3.24, 4 Tl 3.21-3.30
Tl 0.3000 0.3000 0.0456  6 Tb 3.20-3.48, 4 Tl 3.21-3.36
Tl 0.0027 0.0027 0.7500  5 Tb 3.08-3.40, 6 Tl 3.26-3.30
Tl 0.9466 0.4883 0.7500  3 Tb 3.12-3.24, 4 Tl 3.21-3.30
Tl 0.9973 0.9973 0.2500  5 Tb 3.08-3.40, 6 Tl 3.26-3.30
Tl 0.3000 0.3000 0.4544  6 Tb 3.20-3.48, 4 Tl 3.21-3.36
Tb 0.2063 0.7937 0.5000  10 Tl 3.24-3.50
Tb 0.3858 0.3858 0.7500  7 Tl 3.08-3.33
Tb 0.7937 0.2063 0.5000  10 Tl 3.24-3.50
Tb 0.6142 0.6142 0.2500  7 Tl 3.08-3.33
Tb 0.2063 0.7937 0.0000  10 Tl 3.24-3.50
Tb 0.7937 0.2063 0.0000  10 Tl 3.24-3.50

Output
- raw total energy (eV per atom) = -3.514


Entry 3:
# Zr5SiSb3

An optimized crystal structure of Zr5SiSb3 (PBE-GGA, the Materials Project database).

a = 8.6822 Å, b = 8.6822 Å, c = 5.8369 Å
α = 90.00°, β = 90.00°, γ = 120.00°
With the nearest neighbours (Å) after each atom.
Positions (direct):
Sb 0.6049 0.0000 0.2500  9 Zr 2.99-3.14
Sb 0.6049 0.6049 0.7500  9 Zr 2.99-3.14
Sb 0.3951 0.3951 0.2500  9 Zr 2.99-3.14
Sb 0.0000 0.3951 0.7500  9 Zr 2.99-3.14
Sb 0.3951 0.0000 0.7500  9 Zr 2.99-3.14
Sb 0.0000 0.6049 0.2500  9 Zr 2.99-3.14
Zr 0.0000 0.7396 0.7500  2 Si 2.69, 1 Sb 2.99
Zr 0.6667 0.3333 0.0000  2 Zr 2.92, 6 Sb 3.04
Zr 0.3333 0.6667 0.5000  2 Zr 2.92, 6 Sb 3.04
Zr 0.7396 0.7396 0.2500  2 Si 2.69, 1 Sb 2.99
Zr 0.6667 0.3333 0.5000  2 Zr 2.92, 6 Sb 3.04
Zr 0.0000 0.2604 0.2500  2 Si 2.69, 1 Sb 2.99
Zr 0.7396 0.0000 0.7500  2 Si 2.69, 1 Sb 2.99
Zr 0.2604 0.2604 0.7500  2 Si 2.69, 1 Sb 2.99
Zr 0.3333 0.6667 0.0000  2 Zr 2.92, 6 Sb 3.04
Zr 0.2604 0.0000 0.2500  2 Si 2.69, 1 Sb 2.99
Si 0.0000 0.0000 0.0000  6 Zr 2.69, 2 Si 2.92
Si 0.0000 0.0000 0.5000  6 Zr 2.69, 2 Si 2.92

Output
- raw total energy (eV per atom) = -7.529


Entry 4:
# CsCeSiSe4

An optimized crystal structure of CsCeSiSe4 (PBE-GGA, the Materials Project database).

a = 6.8123 Å, b = 7.1644 Å, c = 18.7963 Å
α = 90.00°, β = 90.00°, γ = 90.00°
With the nearest neighbours (Å) after each atom.
Positions (direct):
Se 0.8953 0.7530 0.6501  1 Si 2.30
Se 0.0668 0.7491 0.8579  1 Si 2.30
Se 0.0529 0.5107 0.0915  1 Si 2.27
Se 0.6179 0.4345 0.7797  1 Si 2.29
Se 0.6047 0.2470 0.1501  1 Si 2.30
Se 0.8821 0.5655 0.2797  1 Si 2.29
Se 0.4471 0.4893 0.5915  1 Si 2.27
Se 0.1047 0.2530 0.8499  1 Si 2.30
Se 0.9332 0.2491 0.6421  1 Si 2.30
Se 0.3953 0.7470 0.3499  1 Si 2.30
Se 0.3821 0.9345 0.7203  1 Si 2.29
Se 0.1179 0.0655 0.2203  1 Si 2.29
Se 0.5529 0.9893 0.9085  1 Si 2.27
Se 0.4332 0.2509 0.3579  1 Si 2.30
Se 0.5668 0.7509 0.1421  1 Si 2.30
Se 0.9471 0.0107 0.4085  1 Si 2.27
Cs 0.9962 0.5057 0.4663  8 Se 3.62-4.04
Cs 0.5038 0.4943 0.9663  8 Se 3.62-4.04
Cs 0.4962 0.9943 0.5337  8 Se 3.62-4.04
Cs 0.0038 0.0057 0.0337  8 Se 3.62-4.04
Si 0.2129 0.0151 0.3357  4 Se 2.27-2.30
Si 0.7129 0.4849 0.6643  4 Se 2.27-2.30
Si 0.7871 0.5151 0.1643  4 Se 2.27-2.30
Si 0.2871 0.9849 0.8357  4 Se 2.27-2.30
Ce 0.2080 0.5234 0.7266  7 Se 3.03-3.18
Ce 0.7080 0.9766 0.2734  7 Se 3.03-3.18
Ce 0.7920 0.0234 0.7734  7 Se 3.03-3.18
Ce 0.2920 0.4766 0.2266  7 Se 3.03-3.18

Output
- raw total energy (eV per atom) = -4.991